Record 1
The following is a DFT calculation (PBE) of a relaxed KCu2H2S2O10 crystal.

Space-group type: No. 12
MP2020-corrected energy (eV per atom): -5.918
E_tot (eV/atom): -5.514
Magnetic moment (μB/f.u.): 1.00

Cell: 5.632 5.632 8.030 Å, 65.77 65.77 68.39°
Fractional coordinates of all 17 atoms:
O  0.165  0.771  0.774
O  0.179  0.179  0.509
O  0.176  0.176  0.813
O  0.835  0.229  0.226
O  0.330  0.330  0.054
O  0.670  0.670  0.946
O  0.229  0.835  0.226
O  0.821  0.821  0.491
O  0.824  0.824  0.187
O  0.771  0.165  0.774
K  0.500  0.500  0.500
Cu  0.500  0.000  0.000
Cu  0.000  0.500  0.000
S  0.925  0.925  0.283
S  0.075  0.075  0.717
H  0.305  0.305  0.189
H  0.695  0.695  0.811

***

Record 2
The following is a DFT calculation (PBE) of a relaxed KCu2H2Se2O10 crystal.

Space-group type: No. 12
MP2020-corrected energy (eV per atom): -5.346
E_tot (eV/atom): -4.942
Magnetic moment (μB/f.u.): 3.00

Cell: 6.557 6.557 8.718 Å, 58.42 58.42 60.81°
Fractional coordinates of all 17 atoms:
Cu  0.500  0.000  0.000
Cu  0.000  0.500  0.000
O  0.194  0.194  0.753
O  0.770  0.195  0.752
O  0.699  0.699  0.991
O  0.189  0.189  0.435
O  0.230  0.805  0.248
O  0.811  0.811  0.565
O  0.806  0.806  0.247
O  0.805  0.230  0.248
O  0.301  0.301  0.009
O  0.195  0.770  0.752
Se  0.919  0.919  0.306
Se  0.081  0.081  0.694
H  0.296  0.296  0.375
H  0.704  0.704  0.625
K  0.500  0.500  0.500

***

Record 3
The following is a DFT calculation (PBE) of a relaxed Li9Cu2H4O8 crystal.

Space-group type: No. 31
MP2020-corrected energy (eV per atom): -5.090
E_tot (eV/atom): -4.851
Magnetic moment (μB/f.u.): 1.00

Cell: 5.482 7.517 10.837 Å, 90.00 90.00 90.00°
Fractional coordinates of all 46 atoms:
O  0.599  0.792  0.175
O  0.401  0.292  0.675
O  0.495  0.000  0.879
O  0.909  0.687  0.829
O  0.599  0.208  0.175
O  0.091  0.813  0.329
O  0.025  0.000  0.102
O  0.468  0.500  0.905
O  0.091  0.187  0.329
O  0.909  0.313  0.829
O  0.973  0.500  0.114
O  0.401  0.708  0.675
O  0.532  0.000  0.405
O  0.975  0.500  0.602
O  0.027  0.000  0.614
O  0.505  0.500  0.379
H  0.500  0.238  0.609
H  0.985  0.777  0.883
H  0.500  0.738  0.109
H  0.500  0.262  0.109
H  0.015  0.723  0.383
H  0.015  0.277  0.383
H  0.985  0.223  0.883
H  0.500  0.762  0.609
Li  0.973  0.750  0.161
Li  0.320  0.000  0.719
Li  0.812  0.000  0.276
Li  0.680  0.500  0.219
Li  0.701  0.500  0.728
Li  0.552  0.754  0.840
Li  0.448  0.746  0.340
Li  0.302  0.500  0.544
Li  0.552  0.246  0.840
Li  0.195  0.000  0.450
Li  0.188  0.500  0.776
Li  0.027  0.250  0.661
Li  0.027  0.750  0.661
Li  0.299  0.000  0.228
Li  0.448  0.254  0.340
Li  0.698  0.000  0.044
Li  0.973  0.250  0.161
Li  0.805  0.500  0.950
Cu  0.760  0.500  0.481
Cu  0.755  0.000  0.524
Cu  0.240  0.000  0.981
Cu  0.245  0.500  0.024

***

Record 4
The following is a DFT calculation (PBE) of a relaxed LiCuPH2O5 crystal.

Space-group type: No. 14
MP2020-corrected energy (eV per atom): -6.168
E_tot (eV/atom): -5.825
Magnetic moment (μB/f.u.): 1.00

Cell: 6.990 6.138 9.830 Å, 86.51 90.00 90.00°
Fractional coordinates of all 40 atoms:
O  0.474  0.910  0.665
O  0.267  0.058  0.850
O  0.120  0.312  0.189
O  0.038  0.692  0.084
O  0.462  0.192  0.084
O  0.620  0.188  0.811
O  0.974  0.590  0.335
O  0.233  0.558  0.850
O  0.733  0.942  0.150
O  0.149  0.828  0.535
O  0.767  0.442  0.150
O  0.880  0.688  0.811
O  0.649  0.672  0.465
O  0.962  0.308  0.916
O  0.526  0.090  0.335
O  0.851  0.172  0.465
O  0.026  0.410  0.665
O  0.351  0.328  0.535
O  0.538  0.808  0.916
O  0.380  0.812  0.189
P  0.027  0.498  0.807
P  0.473  0.998  0.807
P  0.973  0.502  0.193
P  0.527  0.002  0.193
Li  0.414  0.403  0.343
Li  0.586  0.597  0.657
Li  0.914  0.097  0.657
Li  0.086  0.903  0.343
H  0.894  0.320  0.437
H  0.606  0.820  0.437
H  0.271  0.850  0.585
H  0.229  0.350  0.585
H  0.729  0.150  0.415
H  0.394  0.180  0.563
H  0.771  0.650  0.415
H  0.106  0.680  0.563
Cu  0.797  0.786  0.988
Cu  0.703  0.286  0.988
Cu  0.203  0.214  0.012
Cu  0.297  0.714  0.012

***

Record 5
The following is a DFT calculation (PBE) of a relaxed LiCu2P3H2O10 crystal.

Space-group type: No. 2
MP2020-corrected energy (eV per atom): -6.611
E_tot (eV/atom): -6.230
Magnetic moment (μB/f.u.): 0.00

Cell: 7.548 7.550 8.375 Å, 75.63 71.48 69.82°
Fractional coordinates of all 36 atoms:
O  0.427  0.200  0.716
O  0.112  0.776  0.883
O  0.458  0.592  0.756
O  0.810  0.282  0.414
O  0.711  0.901  0.804
O  0.146  0.494  0.126
O  0.542  0.408  0.244
O  0.888  0.224  0.117
O  0.185  0.291  0.525
O  0.815  0.709  0.475
O  0.190  0.718  0.586
O  0.725  0.223  0.891
O  0.854  0.506  0.874
O  0.334  0.944  0.649
O  0.088  0.167  0.844
O  0.275  0.777  0.109
O  0.573  0.800  0.284
O  0.666  0.056  0.351
O  0.912  0.833  0.156
O  0.289  0.099  0.196
P  0.737  0.831  0.328
P  0.717  0.253  0.289
P  0.873  0.296  0.920
P  0.283  0.747  0.711
P  0.127  0.704  0.080
P  0.263  0.169  0.672
Cu  0.371  0.574  0.407
Cu  0.424  0.301  0.998
Cu  0.629  0.426  0.593
Cu  0.576  0.699  0.002
H  0.394  0.002  0.247
H  0.753  0.985  0.849
H  0.606  0.998  0.753
H  0.247  0.015  0.151
Li  0.091  0.301  0.334
Li  0.909  0.699  0.666

***

Record 6
The following is a DFT calculation (PBE) of a relaxed RbLiCu2H3S2O10 crystal.

Space-group type: No. 1
Energy relative to the lowest polymorph listed for this composition (kJ per mole of atoms): 0.1
MP2020-corrected energy (eV per atom): -5.794
E_tot (eV/atom): -5.432
Magnetic moment (μB/f.u.): 1.00

Cell: 6.364 6.372 7.963 Å, 68.00 89.74 121.72°
Fractional coordinates of all 19 atoms:
Cu  0.051  0.346  0.004
Cu  0.649  0.946  0.004
S  0.879  0.809  0.312
S  0.088  0.223  0.689
O  0.799  0.690  0.514
O  0.170  0.041  0.787
O  0.161  0.994  0.232
O  0.797  0.058  0.747
O  0.695  0.388  0.919
O  0.772  0.606  0.233
O  0.287  0.629  0.084
O  0.776  0.997  0.226
O  0.173  0.342  0.486
O  0.195  0.455  0.748
Rb  0.468  0.030  0.500
H  0.259  0.523  0.219
H  0.721  0.496  0.785
H  0.593  0.419  0.987
Li  0.126  0.824  0.046

***

Record 7
The following is a DFT calculation (PBE) of a relaxed RbLiCu2H3S2O10 crystal.

Space-group type: No. 1
Energy relative to the lowest polymorph listed for this composition (kJ per mole of atoms): 1.9
MP2020-corrected energy (eV per atom): -5.775
E_tot (eV/atom): -5.413
Magnetic moment (μB/f.u.): 0.01

Cell: 5.683 5.678 8.336 Å, 71.32 80.83 107.20°
Fractional coordinates of all 19 atoms:
O  0.856  0.540  0.248
O  0.860  0.726  0.468
O  0.780  0.964  0.192
O  0.786  0.110  0.750
O  0.154  0.406  0.803
O  0.356  0.602  0.053
O  0.209  0.960  0.196
O  0.150  0.972  0.807
O  0.193  0.331  0.531
O  0.657  0.411  0.943
H  0.331  0.528  0.180
H  0.714  0.510  0.815
H  0.521  0.492  0.992
Cu  0.504  0.001  0.987
Cu  0.002  0.480  0.018
Li  0.868  0.368  0.498
Rb  0.404  0.905  0.500
S  0.075  0.200  0.727
S  0.928  0.806  0.271

***

Record 8
The following is a DFT calculation (PBE) of a relaxed RbLiCu2H3S2O10 crystal.

Space-group type: No. 1
Energy relative to the lowest polymorph listed for this composition (kJ per mole of atoms): 0.2
MP2020-corrected energy (eV per atom): -5.793
E_tot (eV/atom): -5.432
Magnetic moment (μB/f.u.): 1.00

Cell: 5.829 6.239 7.633 Å, 73.70 80.65 114.38°
Fractional coordinates of all 19 atoms:
O  0.227  0.926  0.214
O  0.835  0.960  0.194
O  0.155  0.445  0.774
O  0.175  0.059  0.803
O  0.824  0.549  0.238
O  0.164  0.317  0.499
O  0.682  0.480  0.900
O  0.767  0.074  0.779
O  0.295  0.529  0.088
O  0.832  0.697  0.500
Li  0.256  0.224  0.997
S  0.066  0.222  0.709
S  0.924  0.777  0.291
H  0.586  0.558  0.956
H  0.739  0.559  0.757
H  0.237  0.447  0.230
Rb  0.492  0.003  0.505
Cu  0.521  0.899  0.046
Cu  0.990  0.508  0.000

***

Record 9
The following is a DFT calculation (PBE) of a relaxed RbLiCu2H3S2O10 crystal.

Space-group type: No. 1
Energy relative to the lowest polymorph listed for this composition (kJ per mole of atoms): 0.0
MP2020-corrected energy (eV per atom): -5.795
E_tot (eV/atom): -5.433
Magnetic moment (μB/f.u.): 1.00

Cell: 5.600 6.247 8.047 Å, 72.45 80.48 114.69°
Fractional coordinates of all 19 atoms:
O  0.777  0.089  0.793
O  0.249  0.909  0.222
O  0.700  0.495  0.908
O  0.191  0.472  0.771
O  0.831  0.539  0.240
O  0.853  0.646  0.508
O  0.810  0.921  0.239
O  0.194  0.333  0.519
O  0.194  0.067  0.811
O  0.300  0.488  0.102
Cu  0.012  0.531  0.993
Cu  0.484  0.125  0.946
H  0.481  0.515  0.006
H  0.762  0.591  0.773
H  0.194  0.299  0.175
Li  0.401  0.647  0.280
S  0.089  0.243  0.723
S  0.931  0.752  0.306
Rb  0.515  0.023  0.517

***

Record 10
The following is a DFT calculation (PBE) of a relaxed RbLiCu2H3S2O10 crystal.

Space-group type: No. 1
Energy relative to the lowest polymorph listed for this composition (kJ per mole of atoms): 2.3
MP2020-corrected energy (eV per atom): -5.771
E_tot (eV/atom): -5.409
Magnetic moment (μB/f.u.): 1.00

Cell: 5.932 5.927 7.795 Å, 74.74 82.57 118.98°
Fractional coordinates of all 19 atoms:
H  0.203  0.568  0.229
H  0.584  0.509  0.907
H  0.754  0.510  0.736
Cu  0.006  0.498  0.994
Cu  0.508  0.000  0.994
O  0.692  0.433  0.876
O  0.786  0.018  0.791
O  0.812  0.967  0.221
O  0.222  0.965  0.228
O  0.191  0.423  0.791
O  0.186  0.298  0.517
O  0.825  0.672  0.501
O  0.301  0.591  0.108
O  0.191  0.007  0.801
O  0.807  0.550  0.228
S  0.913  0.791  0.295
S  0.090  0.185  0.725
Rb  0.513  0.963  0.525
Li  0.385  0.344  0.270

***

Record 11
The following is a DFT calculation (PBE) of a relaxed RbLiCu2H3S2O10 crystal.

Space-group type: No. 1
Energy relative to the lowest polymorph listed for this composition (kJ per mole of atoms): 0.0
MP2020-corrected energy (eV per atom): -5.795
E_tot (eV/atom): -5.433
Magnetic moment (μB/f.u.): 0.99

Cell: 5.873 5.844 8.527 Å, 61.43 93.70 113.70°
Fractional coordinates of all 19 atoms:
Rb  0.466  0.003  0.533
Cu  0.019  0.485  0.989
Cu  0.531  0.989  0.990
O  0.702  0.442  0.856
O  0.182  0.406  0.795
O  0.154  0.298  0.550
O  0.784  0.570  0.276
O  0.776  0.734  0.492
O  0.787  0.044  0.173
O  0.156  0.946  0.276
O  0.304  0.582  0.112
O  0.189  0.959  0.849
O  0.799  0.023  0.795
H  0.381  0.447  0.159
H  0.599  0.527  0.874
H  0.744  0.536  0.721
S  0.876  0.820  0.308
S  0.079  0.175  0.746
Li  0.134  0.557  0.311

***

Record 12
The following is a DFT calculation (PBE) of a relaxed Rb2MgCu4H5S4O20 crystal.

Space-group type: No. 1
Energy relative to the lowest polymorph listed for this composition (kJ per mole of atoms): 0.8
MP2020-corrected energy (eV per atom): -5.900
E_tot (eV/atom): -5.519
Magnetic moment (μB/f.u.): 1.01

Cell: 12.102 6.463 8.326 Å, 91.66 66.91 53.78°
Fractional coordinates of all 36 atoms:
O  0.518  0.790  0.239
O  0.483  0.216  0.254
O  0.979  0.196  0.755
O  0.993  0.797  0.754
O  0.275  0.225  0.288
O  0.453  0.868  0.806
O  0.076  0.734  0.205
O  0.342  0.160  0.535
O  0.809  0.688  0.059
O  0.178  0.785  0.479
O  0.379  0.693  0.099
O  0.865  0.128  0.174
O  0.197  0.776  0.761
O  0.847  0.156  0.477
O  0.390  0.302  0.914
O  0.126  0.306  0.934
O  0.046  0.142  0.231
O  0.635  0.868  0.866
O  0.608  0.971  0.598
O  0.678  0.325  0.923
H  0.734  0.263  0.786
H  0.140  0.213  0.824
H  0.922  0.557  0.027
H  0.386  0.783  0.188
H  0.501  0.538  0.002
Cu  0.746  0.997  0.988
Cu  0.245  0.011  0.015
Cu  0.196  0.500  0.854
Cu  0.749  0.501  0.994
Rb  0.936  0.564  0.516
Rb  0.538  0.462  0.496
Mg  0.282  0.519  0.208
S  0.525  0.999  0.791
S  0.084  0.890  0.685
S  0.953  0.045  0.273
S  0.407  0.096  0.334

***

Record 13
The following is a DFT calculation (PBE) of a relaxed Rb2MgCu4H5S4O20 crystal.

Space-group type: No. 1
Energy relative to the lowest polymorph listed for this composition (kJ per mole of atoms): 0.0
MP2020-corrected energy (eV per atom): -5.909
E_tot (eV/atom): -5.527
Magnetic moment (μB/f.u.): 3.00

Cell: 11.691 6.276 8.336 Å, 90.17 64.74 57.87°
Fractional coordinates of all 36 atoms:
O  0.511  0.192  0.231
O  0.490  0.211  0.768
O  0.052  0.745  0.206
O  0.683  0.806  0.510
O  0.152  0.824  0.817
O  0.189  0.329  0.919
O  0.159  0.838  0.519
O  0.316  0.179  0.491
O  0.319  0.178  0.196
O  0.045  0.146  0.215
O  0.647  0.366  0.929
O  0.845  0.146  0.478
O  0.853  0.120  0.180
O  0.810  0.710  0.075
O  0.681  0.815  0.805
O  0.951  0.849  0.789
O  0.355  0.656  0.077
O  0.522  0.788  0.225
O  0.476  0.831  0.778
O  0.960  0.235  0.783
Cu  0.289  0.447  0.008
Cu  0.260  0.002  0.003
Cu  0.738  0.523  0.994
Cu  0.713  0.032  0.990
H  0.692  0.323  0.794
H  0.482  0.538  0.013
H  0.254  0.256  0.783
H  0.311  0.705  0.213
H  0.745  0.766  0.211
Rb  0.000  0.496  0.500
Rb  0.503  0.503  0.499
S  0.944  0.051  0.277
S  0.585  0.913  0.712
S  0.059  0.940  0.720
S  0.415  0.085  0.288
Mg  0.001  0.706  0.997

***

| no. | ΔE_f (eV per atom) |
| --- | --- |
| 1 | -1.57 |
| 2 | -1.08 |
| 3 | -1.68 |
| 4 | -1.87 |
| 5 | -2.02 |
| 6 | -1.63 |
| 7 | -1.62 |
| 8 | -1.63 |
| 9 | -1.64 |
| 10 | -1.61 |
| 11 | -1.64 |
| 12 | -1.67 |
| 13 | -1.67 |